(1)
Ba3NaY3Si6O20 | PBE-GGA | relaxed

abc: 14.860 23.959 5.590
angles: 90.00 90.00 90.00
Space group Ama2 (No. 40)
Symmetry-distinct sites (fractional):
Ba  0.113  0.243  0.000 [8 per cell]
Ba  0.250  0.079  0.002 [4 per cell]
Na  0.250  0.389  0.067 [4 per cell]
Y  0.000  0.000  0.934 [4 per cell]
Y  0.029  0.109  0.425 [8 per cell]
Si  0.057  0.350  0.466 [8 per cell]
Si  0.138  0.000  0.491 [8 per cell]
Si  0.250  0.177  0.472 [4 per cell]
Si  0.250  0.309  0.521 [4 per cell]
O  0.000  0.170  0.732 [8 per cell]
O  0.030  0.312  0.700 [8 per cell]
O  0.036  0.413  0.558 [8 per cell]
O  0.090  0.442  0.068 [8 per cell]
O  0.106  0.027  0.236 [8 per cell]
O  0.110  0.047  0.695 [8 per cell]
O  0.161  0.152  0.335 [8 per cell]
O  0.165  0.341  0.390 [8 per cell]
O  0.250  0.175  0.762 [4 per cell]
O  0.250  0.246  0.392 [4 per cell]
O  0.250  0.309  0.807 [4 per cell]
O  0.250  0.490  0.989 [4 per cell]

Calculated values
**Energy**: -7.8650 eV/atom

=====

(2)
Ba2Na2Zr2Si6O23 | PBE-GGA | relaxed

abc: 13.333 12.479 16.492
angles: 90.00 128.03 90.00
Space group P2_1/c (No. 14)
Symmetry-distinct sites (fractional):
Ba  0.158  0.040  0.181 [4 per cell]
Ba  0.159  0.039  0.477 [4 per cell]
Na  0.092  0.749  0.546 [4 per cell]
Na  0.431  0.102  0.050 [4 per cell]
Zr  0.083  0.736  0.791 [4 per cell]
Zr  0.422  0.246  0.714 [4 per cell]
Si  0.118  0.022  0.809 [4 per cell]
Si  0.142  0.167  0.680 [4 per cell]
Si  0.145  0.167  0.963 [4 per cell]
Si  0.368  0.690  0.840 [4 per cell]
Si  0.369  0.692  0.024 [4 per cell]
Si  0.500  0.002  0.325 [4 per cell]
O  0.029  0.565  0.763 [4 per cell]
O  0.054  0.245  0.185 [4 per cell]
O  0.057  0.243  0.372 [4 per cell]
O  0.058  0.115  0.565 [4 per cell]
O  0.060  0.113  0.992 [4 per cell]
O  0.125  0.607  0.313 [4 per cell]
O  0.191  0.069  0.764 [4 per cell]
O  0.197  0.071  0.927 [4 per cell]
O  0.213  0.695  0.763 [4 per cell]
O  0.214  0.695  0.948 [4 per cell]
O  0.223  0.602  0.140 [4 per cell]
O  0.226  0.603  0.584 [4 per cell]
O  0.259  0.107  0.380 [4 per cell]
O  0.268  0.233  0.715 [4 per cell]
O  0.276  0.227  0.056 [4 per cell]
O  0.397  0.562  0.832 [4 per cell]
O  0.400  0.566  0.064 [4 per cell]
O  0.414  0.084  0.680 [4 per cell]
O  0.420  0.087  0.233 [4 per cell]
O  0.422  0.716  0.959 [4 per cell]
O  0.440  0.728  0.623 [4 per cell]
O  0.443  0.732  0.316 [4 per cell]
O  0.457  0.086  0.908 [4 per cell]

Calculated values
**Energy**: -7.1079 eV/atom

=====

(3)
BaNaP | PBE-GGA | relaxed

abc: 8.0062 8.0062 4.6998
angles: 90.00 90.00 120.00
Space group P-62m (No. 189)
Symmetry-distinct sites (fractional):
Ba  0.0000  0.4116  0.0000 [3 per cell]
Na  0.0000  0.7579  0.5000 [3 per cell]
P  0.0000  0.0000  0.0000 [1 per cell]
P  0.3333  0.6667  0.5000 [2 per cell]

Calculated values
**Largest piezoelectric modulus**: 0.0 C/m²
**Energy**: -3.6553 eV/atom

=====

(4)
BaNaSn | PBE-GGA | relaxed

abc: 7.700 7.700 7.700
angles: 90.00 90.00 90.00
Space group F-43m (No. 216)
Symmetry-distinct sites (fractional):
Ba  0.000  0.000  0.000 [4 per cell]
Na  0.250  0.250  0.250 [4 per cell]
Sn  0.000  0.000  0.500 [4 per cell]

Calculated values
**Energy**: -2.6002 eV/atom

=====

(5)
Ba3Nb | PBE-GGA | relaxed

abc: 8.912 8.912 8.912
angles: 90.00 90.00 90.00
Space group Fm-3m (No. 225)
Symmetry-distinct sites (fractional):
Ba  0.000  0.000  0.000 [4 per cell]
Ba  0.250  0.250  0.250 [8 per cell]
Nb  0.000  0.000  0.500 [4 per cell]

Calculated values
**Energy**: -3.1788 eV/atom

=====

(6)
BaNdNb4O12 | PBE-GGA | relaxed

abc: 8.055 8.070 8.041
angles: 90.00 90.00 90.00
Space group Cmmm (No. 65)
Symmetry-distinct sites (fractional):
Ba  0.000  0.000  0.000 [2 per cell]
Nd  0.000  0.500  0.500 [2 per cell]
Nb  0.250  0.250  0.252 [8 per cell]
O  0.000  0.247  0.260 [8 per cell]
O  0.234  0.500  0.262 [8 per cell]
O  0.250  0.250  0.000 [4 per cell]
O  0.250  0.250  0.500 [4 per cell]

Calculated values
**Energy**: -8.6339 eV/atom

=====

(7)
BaNb3O6 | PBE-GGA | relaxed

abc: 12.3932 12.3932 2.9103
angles: 90.00 90.00 120.00
Space group R3m (No. 160, hexagonal axes)
Symmetry-distinct sites (fractional):
Ba  0.0000  0.0000  0.0000 [3 per cell]
Nb  0.0230  0.5115  0.1340 [9 per cell]
O  0.0062  0.2183  0.9272 [18 per cell]

Calculated values
**Energy**: -8.2683 eV/atom

=====

Question: The lowest energy belongs to which entry?
Answer: BaNdNb4O12